(1)
Li4VCo3P4O16: optimized geometry, PBE with a Hubbard U.

Geometry as extended XYZ:
```
28
Lattice="-2.774 -2.355 -4.783 1.021 -4.371 1.560 -8.893 -0.217 5.264" Properties=species:S:1:pos:R:3 pbc="T T T"
Li -0.703 -0.588 -1.179
Li -2.098 -1.773 -3.586
Li -6.009 -4.061 -0.175
Li -4.625 -2.886 2.212
V -6.825 -5.619 2.949
Co -2.470 -0.167 1.515
Co -6.441 -2.253 4.844
Co -2.806 -3.519 -0.416
P -4.898 -1.645 -0.125
P -9.036 -3.187 3.034
P -0.242 -2.582 1.411
P -4.339 -4.105 4.537
O -6.012 -2.215 0.801
O -3.557 -1.751 0.700
O -4.696 -2.718 -1.265
O -5.079 -1.150 3.512
O -0.604 -1.172 0.927
O -7.968 -2.092 3.434
O -9.113 -3.064 1.460
O -1.507 -2.462 -1.690
O -7.759 -3.300 6.125
O -2.932 -5.075 -1.803
O -1.296 -3.686 1.018
O -8.682 -4.598 3.523
O -4.177 -4.604 0.913
O -7.317 -5.378 0.875
O -5.671 -3.981 3.713
O -3.209 -3.564 3.615
```

## Properties
Symmetry ... Pm
Crystal system ... monoclinic

---

(2)
Li2CoS2O8: optimized geometry, PBE with a Hubbard U.

Geometry as extended XYZ:
```
26
Lattice="-2.799 -4.130 0.589 -4.723 2.860 -5.200 4.267 -3.737 -5.931" Properties=species:S:1:pos:R:3 pbc="T T T"
Li 0.657 -3.792 -6.960
Li 0.829 -1.440 -2.641
Li -3.913 -1.215 -3.583
Li -4.085 -3.567 -7.901
Co -1.628 -2.503 -5.271
Co 0.000 0.000 0.000
S -1.592 -2.365 -1.878
S -1.164 -5.732 -5.126
S -1.663 -2.642 -8.664
S -2.092 0.725 -5.416
O -2.775 -1.502 -1.985
O -0.949 -5.747 -3.674
O -0.481 -3.505 -8.557
O -2.306 0.740 -6.868
O -0.926 -2.529 -3.212
O 2.409 -2.699 -6.383
O -2.329 -2.478 -7.330
O -5.664 -2.308 -4.159
O -0.564 -1.783 -0.965
O 0.201 -1.828 -6.064
O -2.691 -3.224 -9.577
O -3.456 -3.179 -4.478
O -1.995 -3.705 -1.341
O -0.748 -4.403 -5.682
O -1.260 -1.301 -9.201
O -2.508 -0.604 -4.861
```

## Properties
Polymorph energy (0 for the lowest one) ... 0.0 meV/atom
Symmetry ... P2_1/c
Crystal system ... monoclinic

---

(3)
Li2Co2S3O12: optimized geometry, PBE with a Hubbard U.

Geometry as extended XYZ:
```
152
Lattice="8.651 0.000 0.000 0.000 8.761 0.000 0.000 0.000 24.048" Properties=species:S:1:pos:R:3 pbc="T T T"
Li 0.323 5.450 6.985
Li 0.323 7.691 19.009
Li 1.258 4.984 12.245
Li 1.258 8.157 0.221
Li 3.068 0.604 12.245
Li 3.068 3.777 0.221
Li 4.003 1.070 6.985
Li 4.003 3.311 19.009
Li 4.648 5.450 5.039
Li 4.648 7.691 17.063
Li 5.584 4.984 23.827
Li 5.584 8.157 11.803
Li 7.393 3.777 11.803
Li 7.393 0.604 23.827
Li 8.329 1.070 5.039
Li 8.329 3.311 17.063
Co 0.034 3.501 1.530
Co 0.034 0.879 13.554
Co 8.648 6.972 4.305
Co 8.648 6.169 16.329
Co 4.328 2.592 4.305
Co 4.328 1.789 16.329
Co 4.292 5.260 13.554
Co 4.292 7.882 1.530
Co 4.360 3.501 10.494
Co 4.360 0.879 22.518
Co 4.323 6.169 19.743
Co 4.323 6.972 7.719
Co 0.003 2.592 7.719
Co 0.003 1.789 19.743
Co 8.617 7.882 10.494
Co 8.617 5.260 22.518
S 1.244 8.298 7.207
S 1.244 4.844 19.231
S 1.286 2.223 10.744
S 1.286 2.157 22.768
S 1.703 0.826 2.802
S 1.703 3.555 14.826
S 2.623 5.206 2.802
S 2.623 7.935 14.826
S 3.040 6.603 10.744
S 3.040 6.538 22.768
S 3.081 3.917 7.207
S 3.081 0.463 19.231
S 5.570 4.844 16.841
S 5.570 8.298 4.817
S 5.611 2.157 13.304
S 5.611 2.223 1.280
S 6.029 0.826 9.222
S 6.029 3.555 21.246
S 6.948 5.206 9.222
S 6.948 7.935 21.246
S 7.366 6.603 1.280
S 7.366 6.538 13.304
S 7.407 3.917 4.817
S 7.407 0.463 16.841
O 0.552 3.421 11.187
O 0.552 0.959 23.211
O 0.710 0.842 6.713
O 0.710 3.538 18.737
O 0.723 0.970 11.420
O 0.723 3.411 23.444
O 0.752 7.994 8.553
O 0.752 5.147 20.577
O 0.819 1.675 1.981
O 0.819 2.706 14.005
O 0.795 7.210 6.278
O 0.795 5.932 18.302
O 0.853 0.084 3.781
O 0.853 4.297 15.805
O 1.207 2.036 9.296
O 1.207 2.344 21.320
O 1.587 3.977 7.170
O 1.587 0.404 19.194
O 1.619 5.983 3.533
O 1.619 7.158 15.557
O 1.619 6.698 11.200
O 1.619 6.444 23.224
O 1.966 4.234 1.858
O 1.966 0.146 13.882
O 2.359 8.615 1.858
O 2.359 4.527 13.882
O 2.706 2.063 23.224
O 2.706 2.317 11.200
O 2.707 1.603 3.533
O 2.707 2.778 15.557
O 2.738 8.357 7.170
O 2.738 4.784 19.194
O 3.118 6.417 9.296
O 3.118 6.725 21.320
O 3.472 4.464 3.781
O 3.472 8.677 15.805
O 3.531 2.829 6.278
O 3.531 1.551 18.302
O 3.506 6.055 1.981
O 3.506 7.086 14.005
O 3.574 0.767 20.577
O 3.574 3.614 8.553
O 3.602 5.350 11.420
O 3.602 7.791 23.444
O 3.616 5.223 6.713
O 3.616 7.919 18.737
O 3.773 5.340 23.211
O 3.773 7.802 11.187
O 4.878 3.421 0.837
O 4.878 0.959 12.861
O 5.035 0.842 5.311
O 5.035 3.538 17.335
O 5.049 0.970 0.604
O 5.049 3.411 12.628
O 5.077 5.147 15.495
O 5.077 7.994 3.471
O 5.145 1.675 10.043
O 5.145 2.706 22.066
O 5.121 5.932 17.770
O 5.121 7.210 5.746
O 5.179 0.084 8.243
O 5.179 4.297 20.267
O 5.533 2.036 2.728
O 5.533 2.344 14.752
O 5.913 3.977 4.854
O 5.913 0.404 16.878
O 5.944 5.983 8.491
O 5.944 7.158 20.515
O 5.945 6.698 0.824
O 5.945 6.444 12.848
O 6.292 4.234 10.166
O 6.292 0.146 22.190
O 6.685 8.615 10.166
O 6.685 4.527 22.190
O 7.032 2.317 0.824
O 7.032 2.063 12.848
O 7.032 1.603 8.491
O 7.032 2.778 20.515
O 7.064 4.784 16.878
O 7.064 8.357 4.854
O 7.444 6.417 2.728
O 7.444 6.725 14.752
O 7.798 4.464 8.243
O 7.798 8.677 20.267
O 7.856 2.829 5.746
O 7.856 1.551 17.770
O 7.832 6.055 10.043
O 7.832 7.086 22.066
O 7.899 3.614 3.471
O 7.899 0.767 15.495
O 7.928 5.350 0.604
O 7.928 7.791 12.628
O 7.942 5.223 5.311
O 7.942 7.919 17.335
O 8.099 5.340 12.861
O 8.099 7.802 0.837
```

## Properties
Polymorph energy (0 for the lowest one) ... 19.5 meV/atom
Symmetry ... Pbca
Crystal system ... orthorhombic

---

(4)
Li2Co2S3O12: optimized geometry, PBE with a Hubbard U.

Geometry as extended XYZ:
```
76
Lattice="-4.411 -4.867 -5.645 7.443 -1.504 -4.519 2.159 -9.905 6.852" Properties=species:S:1:pos:R:3 pbc="T T T"
Li 1.486 -3.294 -1.217
Li 2.720 -6.791 -6.662
Li 5.212 -5.673 -2.930
Li -0.432 -7.042 -3.130
Li 5.624 -9.234 -0.182
Li -0.020 -10.602 -0.382
Li 2.472 -9.484 3.350
Li 3.705 -12.982 -2.095
Co 6.290 -3.805 -5.007
Co 0.397 -5.450 -5.527
Co 4.675 -8.946 -5.956
Co 3.192 -5.724 -0.831
Co 0.516 -7.329 2.644
Co 1.999 -10.551 -2.481
Co 4.795 -10.826 2.215
Co -1.099 -12.470 1.695
S -0.166 -2.612 -3.723
S 3.198 -3.759 -6.441
S 4.375 -2.836 -2.318
S -2.865 -5.965 -4.561
S -0.204 -5.621 -0.294
S 2.625 -7.357 -3.696
S 6.483 -6.278 -0.192
S -1.292 -9.997 -3.119
S 2.566 -8.918 0.384
S 5.395 -10.655 -3.018
S 8.056 -10.310 1.249
S 0.816 -13.440 -0.994
O 3.744 -1.821 -3.160
O -3.190 -4.614 -5.012
O 0.405 -3.808 -4.355
O 4.577 -4.063 -6.039
O -0.101 -2.820 -2.241
O 2.364 -4.959 -6.109
O 0.866 -2.103 0.202
O 0.798 -7.037 -6.909
O 5.267 -3.730 -3.115
O -1.394 -6.222 -4.618
O 4.110 -7.672 -7.671
O 3.330 -3.675 -1.648
O 6.464 -5.918 -4.379
O 1.272 -6.787 -4.000
O 3.363 -7.547 -4.980
O 1.113 -5.172 -0.839
O 3.388 -6.370 -2.865
O -0.954 -6.302 -1.399
O 5.293 -5.843 -0.992
O -1.583 -8.570 -2.768
O 3.438 -5.170 1.092
O 3.199 -10.291 -6.236
O 2.489 -8.616 -2.965
O -0.034 -6.542 0.827
O 2.702 -7.660 -0.347
O 5.226 -9.733 -4.139
O 1.992 -5.984 2.924
O 1.754 -11.106 -4.404
O 6.774 -7.705 -0.544
O -0.101 -10.433 -2.320
O 6.146 -9.973 -1.913
O 1.803 -9.906 -0.447
O 1.828 -8.728 1.668
O 4.079 -11.103 -2.473
O 3.919 -9.488 0.688
O -1.273 -10.358 1.067
O 1.081 -8.604 4.359
O 1.861 -12.601 -1.664
O 6.586 -10.054 1.306
O -0.076 -12.545 -0.197
O 4.394 -9.238 3.597
O 4.325 -14.172 -3.514
O 2.827 -11.317 2.797
O 5.292 -13.456 -1.071
O 4.786 -12.467 1.044
O 0.614 -12.212 2.727
O 8.382 -11.662 1.700
O 1.447 -14.455 -0.152
```

## Properties
Polymorph energy (0 for the lowest one) ... 0.0 meV/atom
Symmetry ... Pbcn
Crystal system ... orthorhombic

---

(5)
Li2Co2S3O12: optimized geometry, PBE with a Hubbard U.

Geometry as extended XYZ:
```
38
Lattice="-4.105 -6.398 -1.922 3.774 -4.698 -5.018 3.137 -7.164 4.049" Properties=species:S:1:pos:R:3 pbc="T T T"
Li 0.674 -8.746 -5.397
Li 0.733 -12.654 -2.779
Li 2.072 -5.607 -0.112
Li 2.132 -9.515 2.505
Co 3.298 -9.925 -3.136
Co 0.890 -14.366 0.451
Co 1.915 -3.895 -3.342
Co -0.492 -8.335 0.244
S -0.030 -9.644 -2.840
S 3.198 -12.868 -1.467
S 4.095 -6.589 -3.823
S -1.289 -11.672 0.932
S -0.392 -5.392 -1.424
S 2.836 -8.616 -0.052
O 1.215 -12.808 -4.891
O 2.164 -16.524 -2.623
O -0.358 -11.032 -2.469
O 1.249 -9.616 -3.620
O -1.074 -9.105 -3.826
O 4.157 -13.978 -1.602
O 3.535 -7.935 -3.644
O 0.018 -8.767 -1.684
O 1.825 -13.412 -1.206
O 3.053 -12.134 -2.806
O -0.316 -12.687 0.509
O -0.800 -6.347 -2.438
O 3.606 -11.913 -0.453
O 3.121 -5.574 -3.401
O -0.247 -6.126 -0.085
O 0.980 -4.848 -1.685
O 2.787 -9.493 -1.207
O -0.730 -10.326 0.753
O -1.351 -4.282 -1.289
O 3.879 -9.156 0.934
O 1.557 -8.645 0.729
O 3.163 -7.228 -0.422
O 0.642 -1.736 -0.268
O 1.590 -5.452 2.000
```

## Properties
Polymorph energy (0 for the lowest one) ... 23.4 meV/atom
Symmetry ... C2/c
Crystal system ... monoclinic

---

(6)
Li2CoS2O8: optimized geometry, PBE with a Hubbard U.

Geometry as extended XYZ:
```
104
Lattice="-8.756 2.779 0.067 -0.749 -2.574 8.908 4.026 12.588 3.977" Properties=species:S:1:pos:R:3 pbc="T T T"
Li -6.048 4.385 10.144
Li -3.512 10.513 12.128
Li 0.528 2.818 8.388
Li -1.055 10.253 10.404
Li -5.396 11.772 9.991
Li -3.813 4.336 7.975
Li -1.346 4.108 6.261
Li 1.190 10.236 8.245
Li -6.670 2.557 4.706
Li -4.133 8.685 6.690
Li -1.667 8.457 4.976
Li -0.084 1.021 2.960
Li -4.424 2.540 2.547
Li -6.007 9.975 4.563
Li 0.568 8.408 2.807
Li -1.968 2.280 0.823
Co -8.006 1.824 8.220
Co -3.415 7.300 10.188
Co -3.462 1.007 6.206
Co 1.129 6.483 8.175
Co -6.609 6.310 4.776
Co -2.018 11.786 6.745
Co -2.064 5.493 2.763
Co 2.527 10.968 4.731
S -5.914 9.357 11.196
S -4.765 2.059 9.183
S -1.394 4.889 9.449
S 1.723 10.832 11.429
S -5.638 6.738 7.891
S -2.521 12.682 9.871
S -0.124 1.572 6.027
S -1.274 8.870 8.039
S -4.206 3.923 4.912
S -5.355 11.221 6.924
S -2.959 0.111 3.080
S 0.159 6.055 5.059
S -7.203 1.961 1.522
S -4.085 7.904 3.502
S -0.715 10.734 3.768
S 0.435 3.436 1.755
O -1.458 4.275 10.807
O 1.440 10.288 12.788
O 0.642 1.851 10.133
O -1.682 9.522 12.155
O -4.106 3.117 10.037
O -5.831 10.598 12.053
O -4.511 8.842 11.179
O -6.208 2.447 9.189
O -2.647 -0.307 7.570
O -0.275 5.873 9.556
O -0.858 -1.904 7.096
O -2.665 5.602 9.114
O -6.322 9.836 9.840
O -4.174 2.221 7.820
O -1.182 3.876 8.386
O 0.951 10.132 10.373
O -5.547 5.307 8.274
O -3.415 11.563 10.262
O 0.241 0.961 7.341
O -1.907 8.575 9.361
O -6.976 7.221 8.354
O -5.169 -0.285 6.336
O -6.933 1.398 6.511
O -4.561 7.578 8.497
O -1.565 1.968 6.006
O 0.132 8.362 7.996
O -1.114 10.371 7.995
O 0.611 2.891 5.978
O -3.388 4.438 6.025
O -5.711 12.108 8.046
O -5.464 6.940 6.424
O -2.566 12.954 8.406
O -2.913 -0.161 4.545
O -0.016 5.852 6.527
O -2.092 8.355 6.926
O 0.232 0.685 4.904
O -4.365 2.421 4.956
O -6.090 9.902 6.973
O -5.611 4.430 4.955
O -3.914 10.825 6.945
O -0.918 5.215 4.454
O 1.454 11.395 6.440
O -0.311 13.078 6.615
O 1.496 5.571 4.597
O -3.573 4.217 3.590
O -5.721 11.832 5.610
O -2.065 1.230 2.689
O 0.068 7.486 4.677
O -6.430 2.661 2.578
O -4.298 8.917 4.565
O -1.306 10.572 5.131
O 0.843 2.957 3.111
O -2.815 7.190 3.837
O -4.622 14.697 5.854
O -5.204 6.920 3.395
O -2.832 13.100 5.381
O 0.729 10.345 3.762
O -0.968 3.951 1.772
O -1.374 9.675 2.914
O 0.351 2.195 0.898
O -6.121 10.942 2.817
O -3.798 3.271 0.796
O -6.919 2.505 0.163
O -4.022 8.518 2.144
```

## Properties
Polymorph energy (0 for the lowest one) ... 8.6 meV/atom
Symmetry ... Pbca
Crystal system ... orthorhombic

---

no.,size of the total moment (μB per formula unit),DFT total energy (eV/atom),formation enthalpy at 0 K (eV/f.u.)
1,12.00,-6.771,-68.3
2,3.00,-6.023,-26.6
3,6.00,-6.041,-36.5
4,6.00,-6.060,-36.8
5,6.00,-6.037,-36.4
6,3.00,-6.014,-26.5